{"formula": "Li7Mn2Co3O12", "functional": "GGA+U", "state": "relaxed", "cell": [[1.460, 6.378, 0.000], [-1.460, 6.378, 0.000], [0.000, 2.757, 11.480]], "species": ["Li", "Li", "Li", "Li", "Li", "Li", "Li", "Mn", "Mn", "Co", "Co", "Co", "O", "O", "O", "O", "O", "O", "O", "O", "O", "O", "O", "O"], "frac_coords": [[0.998, 0.998, 0.256], [0.666, 0.666, 0.081], [0.334, 0.334, 0.919], [0.002, 0.002, 0.744], [0.659, 0.659, 0.585], [0.341, 0.341, 0.415], [0.000, 0.000, 0.500], [0.340, 0.340, 0.663], [0.660, 0.660, 0.337], [0.334, 0.334, 0.167], [0.000, 0.000, 0.000], [0.666, 0.666, 0.833], [0.835, 0.835, 0.048], [0.504, 0.504, 0.883], [0.174, 0.174, 0.714], [0.831, 0.831, 0.557], [0.513, 0.513, 0.369], [0.171, 0.171, 0.220], [0.169, 0.169, 0.443], [0.826, 0.826, 0.286], [0.496, 0.496, 0.117], [0.165, 0.165, 0.952], [0.829, 0.829, 0.780], [0.487, 0.487, 0.631]], "energy_mp2020_ev_per_cell": -158.140, "final_energy_ev_per_atom": -5.9019, "delta_e_f_ev_per_fu": -45.753, "density_g_cm3": 4.10, "relative_energy_mev_per_atom": 27}

{"formula": "Li7Mn2Co3O12", "functional": "GGA+U", "state": "relaxed", "cell": [[2.974, 0.000, 0.000], [-1.194, 7.508, 0.000], [-0.415, -1.984, 9.676]], "species": ["Li", "Li", "Li", "Li", "Li", "Li", "Li", "Mn", "Mn", "Co", "Co", "Co", "O", "O", "O", "O", "O", "O", "O", "O", "O", "O", "O", "O"], "frac_coords": [[0.082, 0.156, 0.739], [0.583, 0.172, 0.253], [0.738, 0.499, 0.755], [0.242, 0.495, 0.249], [0.430, 0.841, 0.743], [0.925, 0.838, 0.253], [0.488, 0.999, 0.509], [0.008, 0.999, 0.001], [0.839, 0.673, 0.500], [0.668, 0.336, 0.998], [0.162, 0.319, 0.496], [0.325, 0.666, 0.002], [0.590, 0.093, 0.882], [0.059, 0.108, 0.384], [0.202, 0.428, 0.886], [0.740, 0.421, 0.388], [0.907, 0.753, 0.888], [0.352, 0.738, 0.390], [0.604, 0.264, 0.614], [0.135, 0.245, 0.114], [0.307, 0.578, 0.602], [0.746, 0.577, 0.116], [0.943, 0.895, 0.619], [0.426, 0.906, 0.119]], "energy_mp2020_ev_per_cell": -156.987, "final_energy_ev_per_atom": -5.8539, "delta_e_f_ev_per_fu": -44.600, "density_g_cm3": 4.05, "relative_energy_mev_per_atom": 75}

{"formula": "Li5Mn2CoO8", "functional": "GGA+U", "state": "relaxed", "cell": [[5.134, -0.128, 0.000], [-1.766, 4.822, 0.000], [0.000, 0.000, 5.714]], "species": ["Li", "Li", "Li", "Li", "Li", "Mn", "Mn", "Co", "O", "O", "O", "O", "O", "O", "O", "O"], "frac_coords": [[0.500, 0.500, 0.005], [0.500, 0.000, 0.250], [0.500, 0.500, 0.495], [0.500, 0.000, 0.750], [0.000, 0.500, 0.250], [0.000, 0.000, 0.000], [0.000, 0.000, 0.500], [0.000, 0.500, 0.750], [0.210, 0.754, 0.988], [0.236, 0.218, 0.250], [0.210, 0.754, 0.512], [0.237, 0.224, 0.750], [0.790, 0.246, 0.988], [0.764, 0.782, 0.250], [0.790, 0.246, 0.512], [0.763, 0.776, 0.750]], "energy_mp2020_ev_per_cell": -106.954, "final_energy_ev_per_atom": -6.0303, "delta_e_f_ev_per_fu": -32.394, "density_g_cm3": 3.93, "relative_energy_mev_per_atom": 10}

{"formula": "Li4MnCo2O7", "functional": "GGA+U", "state": "relaxed", "cell": [[-4.251, -2.583, -0.787], [1.823, -2.512, 4.117], [-3.831, 8.232, 4.681]], "species": ["Li", "Li", "Li", "Li", "Li", "Li", "Li", "Li", "Mn", "Mn", "Co", "Co", "Co", "Co", "O", "O", "O", "O", "O", "O", "O", "O", "O", "O", "O", "O", "O", "O"], "frac_coords": [[0.356, 0.217, 0.705], [0.928, 0.358, 0.855], [0.500, 0.500, 0.000], [0.219, 0.937, 0.434], [0.781, 0.063, 0.566], [0.072, 0.642, 0.145], [0.644, 0.783, 0.295], [0.500, 0.500, 0.500], [0.642, 0.781, 0.785], [0.358, 0.219, 0.215], [0.212, 0.927, 0.926], [0.788, 0.073, 0.074], [0.932, 0.367, 0.365], [0.068, 0.633, 0.635], [0.427, 0.850, 0.625], [0.988, 0.985, 0.762], [0.579, 0.113, 0.896], [0.270, 0.531, 0.311], [0.873, 0.704, 0.465], [0.148, 0.271, 0.042], [0.692, 0.410, 0.177], [0.308, 0.590, 0.823], [0.852, 0.729, 0.958], [0.421, 0.887, 0.104], [0.127, 0.296, 0.535], [0.730, 0.469, 0.689], [0.012, 0.015, 0.238], [0.573, 0.150, 0.375]], "energy_mp2020_ev_per_cell": -183.013, "final_energy_ev_per_atom": -5.8395, "delta_e_f_ev_per_fu": -25.856, "density_g_cm3": 4.11, "relative_energy_mev_per_atom": 37}

{"formula": "Li4MnCo2O7", "functional": "GGA+U", "state": "relaxed", "cell": [[2.907, 0.000, 0.000], [-0.128, 9.799, 0.000], [-1.347, -4.068, 8.855]], "species": ["Li", "Li", "Li", "Li", "Li", "Li", "Li", "Li", "Mn", "Mn", "Co", "Co", "Co", "Co", "O", "O", "O", "O", "O", "O", "O", "O", "O", "O", "O", "O", "O", "O"], "frac_coords": [[0.090, 0.776, 0.148], [0.783, 0.625, 0.552], [0.508, 0.504, 0.013], [0.206, 0.361, 0.426], [0.917, 0.226, 0.860], [0.627, 0.081, 0.287], [0.363, 0.926, 0.713], [0.143, 0.574, 0.281], [0.001, 0.003, 0.002], [0.723, 0.847, 0.421], [0.424, 0.710, 0.853], [0.849, 0.429, 0.714], [0.579, 0.310, 0.159], [0.284, 0.143, 0.575], [0.526, 0.905, 0.062], [0.255, 0.763, 0.493], [0.959, 0.605, 0.917], [0.673, 0.452, 0.347], [0.377, 0.322, 0.776], [0.094, 0.171, 0.195], [0.834, 0.032, 0.629], [0.626, 0.696, 0.231], [0.317, 0.534, 0.649], [0.039, 0.383, 0.073], [0.726, 0.246, 0.510], [0.475, 0.095, 0.939], [0.202, 0.955, 0.369], [0.900, 0.829, 0.805]], "energy_mp2020_ev_per_cell": -182.395, "final_energy_ev_per_atom": -5.8174, "delta_e_f_ev_per_fu": -25.547, "density_g_cm3": 4.12, "relative_energy_mev_per_atom": 59}

{"formula": "Li7Mn4CoO12", "functional": "GGA+U", "state": "relaxed", "cell": [[-1.626, 1.917, 5.403], [-1.490, -5.670, 1.230], [6.467, -0.049, 0.364]], "species": ["Li", "Li", "Li", "Li", "Li", "Li", "Li", "Mn", "Mn", "Mn", "Mn", "Co", "O", "O", "O", "O", "O", "O", "O", "O", "O", "O", "O", "O"], "frac_coords": [[0.501, 0.000, 0.004], [0.165, 0.662, 0.670], [0.838, 0.824, 0.326], [0.498, 0.504, 0.003], [0.835, 0.338, 0.327], [0.163, 0.174, 0.671], [0.001, 0.501, 0.000], [0.001, 0.999, 0.002], [0.672, 0.166, 0.669], [0.674, 0.660, 0.667], [0.325, 0.341, 0.332], [0.327, 0.834, 0.331], [0.245, 0.241, 0.019], [0.927, 0.905, 0.684], [0.554, 0.086, 0.346], [0.232, 0.778, 0.020], [0.585, 0.573, 0.346], [0.891, 0.411, 0.664], [0.756, 0.758, 0.982], [0.411, 0.425, 0.653], [0.113, 0.591, 0.333], [0.770, 0.220, 0.985], [0.076, 0.097, 0.318], [0.439, 0.911, 0.649]], "energy_mp2020_ev_per_cell": -165.738, "final_energy_ev_per_atom": -6.2160, "delta_e_f_ev_per_fu": -49.243, "density_g_cm3": 3.95, "relative_energy_mev_per_atom": 32}